No. 1
Ba2AlV3O8 | GGA+U | optimized geometry

- magnetic moment (μB/f.u.) = 6.00
- ΔE_f (eV/atom) = -2.57

Lattice parameters (Å, degrees): 3.8300 4.0090 11.8696 90.00 90.00 90.00
Last column: nearest neighbours and their distance in Å.
Space group Pmmm (No. 47)
Inequivalent atoms, fractional coordinates:
Ba1 0.0000 0.0000 0.1673 x2  8 O 2.76-2.82
Al1 0.0000 0.0000 0.5000 x1  8 O 2.30-2.35
V1 0.5000 0.5000 0.0000 x1  4 O 1.92-2.00
V2 0.5000 0.5000 0.3495 x2  5 O 1.90-2.07
O1 0.0000 0.5000 0.0000 x1  2 V 1.92
O2 0.0000 0.5000 0.3962 x2  2 V 1.99
O3 0.5000 0.0000 0.0000 x1  2 V 2.00
O4 0.5000 0.0000 0.3933 x2  2 V 2.07, 2 Al 2.30
O5 0.5000 0.5000 0.1898 x2  1 V 1.90

***

No. 2
Li9Mn7O16 | GGA+U | optimized geometry

- magnetic moment (μB/f.u.) = 26.00
- ΔE_f (eV/atom) = -2.14
- relative energy among the computed polymorphs (eV per atom) = 0.004

Lattice parameters (Å, degrees): 5.3393 5.7604 9.7592 90.00 96.84 90.00
Last column: nearest neighbours and their distance in Å.
Space group P2/m (No. 10)
Inequivalent atoms, fractional coordinates:
Li1 0.0000 0.0000 0.0000 x1  6 O 2.05-2.28
Li2 0.2476 0.0000 0.7602 x2  6 O 2.09-2.22
Li3 0.2514 0.2460 0.2497 x4  5 O 2.12-2.17
Li4 0.2554 0.5000 0.7554 x2  6 O 2.06-2.20
Mn1 0.0000 0.2500 0.5000 x2  4 O 1.97
Mn2 0.0000 0.5000 0.0000 x1  4 O 1.97
Mn3 0.5000 0.0000 0.5000 x1  4 O 1.96
Mn4 0.5000 0.2483 0.0000 x2  6 O 1.94-1.97
Mn5 0.5000 0.5000 0.5000 x1  4 O 1.96
O1 0.1021 0.0000 0.3799 x2  2 Mn 1.97, 3 Li 2.12-2.18
O2 0.1028 0.5000 0.3809 x2  2 Mn 1.97, 3 Li 2.16-2.20
O3 0.1605 0.2597 0.8962 x4  2 Mn 1.97, 3 Li 2.05-2.09
O4 0.3900 0.5000 0.1163 x2  2 Mn 1.97, 3 Li 2.14-2.15
O5 0.3944 0.2498 0.6166 x4  2 Mn 1.96, 2 Li 2.17
O6 0.3980 0.0000 0.1155 x2  2 Mn 1.94, 3 Li 2.12-2.14

***

- What is the ΔE_f in the first record?
  -2.57 eV/atom

***

- What is the ΔE_f in the first record?
  -2.57 eV/atom